1.
# CaNi4B, optimized geometry, DFT GGA-PBE
# DFT formation energy, meV per atom: -304
data_CaNi4B
_chemical_formula_sum 'Ca2 Ni8 B2'
_symmetry_space_group_name_H-M 'P 6/m m m'
_symmetry_Int_Tables_number 191
_symmetry_space_group_name_Hall '-P 6 2'
_cell_length_a 5.0380
_cell_length_b 5.0380
_cell_length_c 6.8300
_cell_angle_alpha 90.00
_cell_angle_beta 90.00
_cell_angle_gamma 120.00
loop_
_atom_site_label
_atom_site_fract_x
_atom_site_fract_y
_atom_site_fract_z
Ca1 0.0000 0.0000 0.0000
Ca2 0.0000 0.0000 0.5000
Ni1 0.0000 0.5000 0.2047
Ni2 0.3333 0.6667 0.5000
B1 0.3333 0.6667 0.0000



2.
# Ca5Ni15B4, optimized geometry, DFT GGA-PBE
# DFT formation energy, meV per atom: -326
data_Ca5Ni15B4
_chemical_formula_sum 'Ca10 Ni30 B8'
_symmetry_space_group_name_H-M 'P 63/m m c'
_symmetry_Int_Tables_number 194
_symmetry_space_group_name_Hall '-P 6c 2c'
_cell_length_a 5.0844
_cell_length_b 5.0844
_cell_length_c 27.8318
_cell_angle_alpha 90.00
_cell_angle_beta 90.00
_cell_angle_gamma 120.00
loop_
_atom_site_label
_atom_site_fract_x
_atom_site_fract_y
_atom_site_fract_z
Ca1 0.3333 0.6667 0.0186
Ca2 0.3333 0.6667 0.1313
Ca3 0.3333 0.6667 0.2500
Ni1 0.0000 0.0000 0.0000
Ni2 0.0000 0.0000 0.2500
Ni3 0.1644 0.3287 0.5779
Ni4 0.1672 0.3343 0.6776
Ni5 0.3333 0.6667 0.7500
B1 0.0000 0.0000 0.1282
B2 0.3333 0.6667 0.6267